(1)
The following is a PBE+U calculation of a geometry-optimized NdDyNi4O12 structure, from Materials Project.

Summary:
As for the crystal system: orthorhombic. As for the space-group type: Amm2 (38). For the formation energy, the calculation gives -29.0 kcal/mol of atoms.

Structure (extended XYZ):
```
18
Lattice="-1.573 4.023 3.026 -2.243 -3.597 3.139 6.475 -0.509 4.043" Properties=species:S:1:pos:R:3 pbc="T T T"
Nd -1.592 3.815 3.029
Dy 1.344 0.126 5.102
Ni -1.364 -1.697 5.664
Ni 1.808 -1.946 7.644
Ni 3.691 -2.157 4.601
Ni 0.520 -1.908 2.621
O 0.815 -0.029 2.320
O -1.383 0.217 5.872
O 1.846 -0.037 7.888
O 4.044 -0.282 4.336
O -0.078 -1.463 4.332
O -0.443 1.703 3.887
O 3.382 1.403 6.275
O 2.469 -1.663 5.922
O -2.860 -1.669 4.371
O 2.257 1.712 3.839
O -1.302 -1.843 1.853
O 0.725 1.884 6.315
```

(2)
The following is a PBE+U calculation of a geometry-optimized Li2FeBO4 structure, from Materials Project.

Summary:
As for the crystal system: orthorhombic. As for the space-group type: Pmn2_1 (31). For the formation energy, the calculation gives -52.9 kcal/mol of atoms.

Structure (extended XYZ):
```
16
Lattice="-3.468 2.074 2.592 2.612 -1.263 4.505 2.852 5.062 -0.235" Properties=species:S:1:pos:R:3 pbc="T T T"
Li -0.420 5.445 3.914
Li 2.154 3.969 4.093
Li -1.861 2.888 4.032
Li 0.743 1.464 4.209
Fe 0.213 3.513 6.330
Fe -1.350 0.850 1.925
B 0.134 3.355 1.961
B 2.154 -1.040 3.735
O -0.952 4.003 2.746
O 2.435 2.200 4.994
O 0.920 4.984 5.285
O 1.430 4.061 2.261
O -2.858 1.737 2.728
O 1.090 -0.402 4.557
O 0.216 1.906 2.361
O -0.717 2.077 5.420
```

(3)
The following is a PBE+U calculation of a geometry-optimized Cs7Ni4F15 structure, from Materials Project.

Summary:
As for the crystal system: monoclinic. As for the space-group type: P2_1/c (14). For the formation energy, the calculation gives -61.8 kcal/mol of atoms.

Structure (extended XYZ):
```
52
Lattice="11.043 0.000 0.000 0.000 7.954 0.000 0.000 0.500 11.620" Properties=species:S:1:pos:R:3 pbc="T T T"
Cs 7.520 4.262 6.142
Cs 3.523 4.192 5.478
Cs 9.044 4.012 0.332
Cs 3.825 1.387 2.286
Cs 10.997 5.664 7.756
Cs 7.218 7.068 9.334
Cs 0.045 2.790 3.864
Cs 0.000 0.000 0.000
Cs 1.696 1.637 8.096
Cs 5.476 3.040 9.675
Cs 1.998 4.443 11.288
Cs 5.521 0.250 5.810
Cs 9.346 6.817 3.524
Cs 5.567 5.414 1.946
Ni 1.911 6.012 2.661
Ni 3.729 7.807 10.803
Ni 9.250 0.897 6.627
Ni 9.132 2.442 8.960
Ni 1.792 7.557 4.993
Ni 7.313 0.647 0.817
Ni 3.610 6.262 8.471
Ni 7.432 2.192 3.150
F 5.830 2.811 4.158
F 2.113 7.017 9.727
F 10.734 3.061 9.968
F 6.547 2.524 1.245
F 8.440 7.055 6.439
F 4.496 5.931 10.376
F 7.635 1.688 7.703
F 6.655 0.294 2.771
F 2.777 4.452 8.384
F 9.908 0.544 8.581
F 8.929 1.437 1.893
F 1.026 5.680 4.566
F 2.938 6.657 0.971
F 4.387 8.161 8.849
F 8.298 4.252 9.046
F 8.460 1.547 4.839
F 1.134 7.910 3.039
F 8.104 1.797 10.650
F 0.308 5.393 1.653
F 10.017 2.774 7.055
F 8.123 6.805 0.629
F 2.602 1.399 5.181
F 3.408 6.767 3.917
F 2.919 1.650 10.991
F 8.266 4.002 3.236
F 5.213 5.643 7.463
F 2.744 4.202 2.574
F 2.583 6.908 6.781
F 0.000 0.250 5.810
F 5.521 0.000 0.000
```

(4)
The following is a PBE+U calculation of a geometry-optimized LiPrMn4O12 structure, from Materials Project.

Summary:
As for the crystal system: tetragonal. As for the space-group type: P4/mmm (123). For the formation energy, the calculation gives -37.8 kcal/mol of atoms.

Structure (extended XYZ):
```
18
Lattice="5.333 0.000 0.000 0.000 5.333 0.000 0.000 0.000 7.752" Properties=species:S:1:pos:R:3 pbc="T T T"
Li 2.667 2.667 0.000
Pr 0.000 0.000 3.876
Mn 0.000 2.667 5.908
Mn 0.000 2.667 1.844
Mn 2.667 0.000 5.908
Mn 2.667 0.000 1.844
O 1.290 1.290 5.693
O 1.290 1.290 2.059
O 4.043 4.043 5.693
O 4.043 4.043 2.059
O 4.043 1.290 5.693
O 4.043 1.290 2.059
O 1.290 4.043 5.693
O 1.290 4.043 2.059
O 0.000 2.667 3.876
O 0.000 2.667 0.000
O 2.667 0.000 3.876
O 2.667 0.000 0.000
```

(5)
The following is a PBE+U calculation of a geometry-optimized Li7Co5O12 structure, from Materials Project.

Summary:
As for the crystal system: triclinic. As for the space-group type: P1 (1). For the formation energy, the calculation gives -39.0 kcal/mol of atoms.

Structure (extended XYZ):
```
48
Lattice="4.914 -0.039 -0.627 -0.777 6.440 7.243 0.797 -6.516 5.755" Properties=species:S:1:pos:R:3 pbc="T T T"
Li 2.335 1.028 5.226
Li 2.341 0.987 11.729
Li 1.708 -3.851 6.417
Li 0.946 2.678 7.197
Li 3.762 -0.605 9.780
Li 3.724 -0.608 3.243
Li 1.435 -1.660 11.053
Li 1.419 -1.616 4.563
Li 1.162 0.542 2.650
Li 1.179 0.490 9.158
Li 4.294 -4.952 7.052
Li 3.506 1.511 7.794
Li 3.245 3.671 5.898
Li 4.018 -2.799 5.160
Co 0.276 -2.209 8.417
Co 0.820 -6.468 5.726
Co 4.645 2.011 10.488
Co 2.090 3.090 9.856
Co 2.582 -1.039 0.602
Co 4.400 4.221 8.527
Co 0.017 -0.003 6.468
Co 4.655 2.060 3.984
Co 2.861 -3.305 9.057
Co 2.606 -1.152 7.148
O 2.011 -1.557 8.951
O 1.972 -1.417 2.432
O 3.456 -2.900 7.258
O 2.710 3.459 8.005
O 4.211 1.806 5.884
O 4.962 -4.739 5.014
O 0.460 0.249 4.570
O 0.496 0.280 11.199
O 1.605 0.738 0.631
O 1.781 0.512 7.201
O 1.466 2.976 5.042
O 2.178 -3.568 4.359
O 2.482 5.632 6.103
O 3.198 -0.919 5.411
O 2.890 1.543 3.254
O 3.059 1.331 9.818
O 4.549 -2.567 9.589
O 4.573 -2.676 3.211
O 4.314 -0.519 7.766
O 4.296 -0.320 1.144
O 1.155 -3.938 8.441
O 0.381 2.375 9.318
O 0.915 -1.891 6.620
O 0.094 4.733 7.244
```

(6)
The following is a PBE+U calculation of a geometry-optimized MgFeH4S2NO8 structure, from Materials Project.

Summary:
As for the crystal system: triclinic. As for the space-group type: P1 (1). For the formation energy, the calculation gives -33.0 kcal/mol of atoms.

Structure (extended XYZ):
```
17
Lattice="-6.907 -2.883 7.708 -3.824 -7.043 7.704 -2.546 -2.896 10.170" Properties=species:S:1:pos:R:3 pbc="T T T"
Mg -12.188 -11.800 23.357
Fe -2.823 -3.447 10.594
H -5.341 -6.431 12.186
H -6.337 -5.061 12.217
H -6.845 -6.417 11.329
H -6.825 -6.451 13.019
S -3.696 -3.381 7.193
S -9.736 -9.561 18.730
N -6.333 -6.094 12.183
O -2.827 -2.505 6.362
O -3.024 -3.386 8.542
O -3.793 -4.757 6.671
O -5.070 -2.792 7.298
O -4.900 -3.597 10.846
O -9.055 -8.239 18.723
O -10.751 -9.606 17.632
O -10.451 -9.793 20.021
```